1.
! Li3CrFe2O6 (PBE+U, optimized geometry); values from VASP
&SYSTEM
  ibrav = 0, nat = 12, ntyp = 4
/
ATOMIC_SPECIES
Li 6.94 Li.upf
Cr 52.00 Cr.upf
Fe 55.84 Fe.upf
O 16.00 O.upf
CELL_PARAMETERS angstrom
6.519 -1.492 0.000
6.519 1.492 0.000
-1.405 0.000 5.819
ATOMIC_POSITIONS crystal
Li 0.000 0.000 0.000
Li 0.334 0.334 0.666
Li 0.666 0.666 0.334
Cr 0.000 0.000 0.500
Fe 0.333 0.333 0.167
Fe 0.667 0.667 0.833
O 0.161 0.161 0.595
O 0.171 0.171 0.072
O 0.495 0.495 0.265
O 0.505 0.505 0.735
O 0.829 0.829 0.928
O 0.839 0.839 0.405
! Energy of formation from the pure elements in eV per atom: -2.095
! Space-group type: C2/m (12)
! E in eV per atom: -6.38

***

2.
! Li32Mn3Cr13O48 (PBE+U, optimized geometry); values from VASP
&SYSTEM
  ibrav = 0, nat = 96, ntyp = 4
/
ATOMIC_SPECIES
Li 6.94 Li.upf
Mn 54.94 Mn.upf
Cr 52.00 Cr.upf
O 16.00 O.upf
CELL_PARAMETERS angstrom
5.018 0.000 0.000
0.109 8.749 0.000
1.557 2.653 19.259
ATOMIC_POSITIONS crystal
Li 0.000 0.000 0.000
Li 0.001 0.001 0.500
Li 0.117 0.795 0.125
Li 0.117 0.795 0.625
Li 0.234 0.589 0.250
Li 0.234 0.591 0.750
Li 0.242 0.920 0.250
Li 0.242 0.920 0.750
Li 0.248 0.249 0.750
Li 0.252 0.251 0.250
Li 0.366 0.044 0.875
Li 0.367 0.045 0.375
Li 0.480 0.840 0.000
Li 0.484 0.839 0.500
Li 0.492 0.171 0.500
Li 0.494 0.170 0.000
Li 0.500 0.500 0.500
Li 0.501 0.500 0.000
Li 0.616 0.295 0.625
Li 0.618 0.296 0.125
Li 0.732 0.090 0.250
Li 0.733 0.088 0.750
Li 0.743 0.420 0.250
Li 0.743 0.420 0.750
Li 0.748 0.750 0.250
Li 0.751 0.752 0.749
Li 0.864 0.544 0.375
Li 0.867 0.545 0.875
Li 0.980 0.339 0.500
Li 0.982 0.341 0.999
Li 0.990 0.670 0.000
Li 0.992 0.671 0.500
Mn 0.367 0.712 0.375
Mn 0.618 0.629 0.624
Mn 0.866 0.212 0.875
Cr 0.108 0.130 0.626
Cr 0.110 0.131 0.125
Cr 0.123 0.460 0.125
Cr 0.127 0.462 0.624
Cr 0.359 0.376 0.876
Cr 0.363 0.382 0.375
Cr 0.373 0.709 0.874
Cr 0.610 0.631 0.125
Cr 0.616 0.957 0.625
Cr 0.623 0.960 0.125
Cr 0.859 0.876 0.376
Cr 0.865 0.883 0.875
Cr 0.873 0.208 0.375
O 0.024 0.064 0.319
O 0.029 0.065 0.819
O 0.059 0.383 0.819
O 0.065 0.744 0.318
O 0.068 0.743 0.817
O 0.073 0.385 0.318
O 0.161 0.206 0.431
O 0.164 0.846 0.932
O 0.169 0.205 0.931
O 0.173 0.848 0.432
O 0.208 0.528 0.430
O 0.210 0.523 0.931
O 0.272 0.318 0.568
O 0.276 0.318 0.068
O 0.314 0.993 0.068
O 0.316 0.638 0.568
O 0.319 0.995 0.568
O 0.320 0.637 0.069
O 0.413 0.453 0.181
O 0.416 0.098 0.682
O 0.419 0.097 0.182
O 0.421 0.457 0.680
O 0.455 0.775 0.681
O 0.457 0.773 0.181
O 0.524 0.564 0.819
O 0.531 0.567 0.318
O 0.559 0.884 0.319
O 0.565 0.244 0.818
O 0.566 0.244 0.318
O 0.572 0.885 0.819
O 0.663 0.707 0.931
O 0.666 0.347 0.432
O 0.669 0.704 0.431
O 0.674 0.348 0.932
O 0.706 0.030 0.931
O 0.710 0.022 0.431
O 0.775 0.818 0.068
O 0.778 0.811 0.569
O 0.812 0.492 0.568
O 0.814 0.493 0.068
O 0.819 0.134 0.569
O 0.820 0.137 0.069
O 0.911 0.955 0.681
O 0.913 0.953 0.182
O 0.918 0.596 0.682
O 0.919 0.597 0.182
O 0.956 0.272 0.182
O 0.958 0.274 0.681
! Energy of formation from the pure elements in eV per atom: -2.224
! Space-group type: P1 (1)
! E in eV per atom: -6.26

***

3.
! MgGa4W2O12 (PBE+U, optimized geometry); values from VASP
&SYSTEM
  ibrav = 0, nat = 19, ntyp = 4
/
ATOMIC_SPECIES
Mg 24.30 Mg.upf
Ga 69.72 Ga.upf
W 183.84 W.upf
O 16.00 O.upf
CELL_PARAMETERS angstrom
9.041 0.000 0.000
0.000 3.316 3.975
0.000 -3.316 3.975
ATOMIC_POSITIONS crystal
Mg 0.000 0.000 0.000
Ga 0.176 0.720 0.720
Ga 0.333 0.286 0.286
Ga 0.667 0.286 0.286
Ga 0.824 0.720 0.720
W 0.000 0.335 0.335
W 0.500 0.753 0.753
O 0.000 0.621 0.984
O 0.000 0.984 0.621
O 0.161 0.155 0.155
O 0.183 0.488 0.488
O 0.338 0.613 0.986
O 0.338 0.986 0.613
O 0.500 0.158 0.158
O 0.500 0.529 0.529
O 0.662 0.613 0.986
O 0.662 0.986 0.613
O 0.817 0.488 0.488
O 0.839 0.155 0.155
! Energy above the lowest structure with this stoichiometry in eV/atom: 0.168
! Energy of formation from the pure elements in eV per atom: -1.999
! Space-group type: Amm2 (38)
! E in eV per atom: -6.31

***

4.
! Cr2P5O16 (PBE+U, optimized geometry); values from VASP
&SYSTEM
  ibrav = 0, nat = 46, ntyp = 3
/
ATOMIC_SPECIES
Cr 52.00 Cr.upf
P 30.97 P.upf
O 16.00 O.upf
CELL_PARAMETERS angstrom
5.065 0.000 0.000
0.000 6.767 0.000
-0.014 0.000 18.815
ATOMIC_POSITIONS crystal
Cr 0.244 0.180 0.093
Cr 0.244 0.820 0.593
Cr 0.756 0.180 0.407
Cr 0.756 0.820 0.907
P 0.248 0.460 0.371
P 0.248 0.540 0.871
P 0.263 0.124 0.922
P 0.263 0.876 0.422
P 0.500 0.259 0.250
P 0.500 0.741 0.750
P 0.737 0.124 0.578
P 0.737 0.876 0.078
P 0.752 0.460 0.129
P 0.752 0.540 0.629
O 0.041 0.422 0.114
O 0.041 0.578 0.614
O 0.081 0.023 0.386
O 0.081 0.977 0.886
O 0.163 0.206 0.993
O 0.163 0.794 0.493
O 0.288 0.308 0.867
O 0.288 0.692 0.367
O 0.301 0.409 0.289
O 0.301 0.591 0.789
O 0.345 0.144 0.196
O 0.345 0.856 0.696
O 0.448 0.054 0.572
O 0.448 0.361 0.419
O 0.448 0.639 0.919
O 0.448 0.946 0.072
O 0.552 0.054 0.928
O 0.552 0.361 0.081
O 0.552 0.639 0.581
O 0.552 0.946 0.428
O 0.655 0.144 0.304
O 0.655 0.856 0.804
O 0.699 0.409 0.211
O 0.699 0.591 0.711
O 0.712 0.308 0.633
O 0.712 0.692 0.133
O 0.837 0.206 0.507
O 0.837 0.794 0.007
O 0.919 0.023 0.114
O 0.919 0.977 0.614
O 0.959 0.422 0.386
O 0.959 0.578 0.886
! Energy of formation from the pure elements in eV per atom: -2.544
! Space-group type: P2/c (13)
! E in eV per atom: -7.35

***

5.
! Mn3BiO8 (PBE+U, optimized geometry); values from VASP
&SYSTEM
  ibrav = 0, nat = 12, ntyp = 3
/
ATOMIC_SPECIES
Mn 54.94 Mn.upf
Bi 208.98 Bi.upf
O 16.00 O.upf
CELL_PARAMETERS angstrom
2.906 1.678 5.506
-2.906 1.678 5.506
0.000 -3.356 5.506
ATOMIC_POSITIONS crystal
Mn 0.000 0.500 0.500
Mn 0.500 0.000 0.500
Mn 0.500 0.500 0.000
Bi 0.500 0.500 0.500
O 0.243 0.243 0.708
O 0.243 0.708 0.243
O 0.273 0.273 0.273
O 0.292 0.757 0.757
O 0.708 0.243 0.243
O 0.727 0.727 0.727
O 0.757 0.292 0.757
O 0.757 0.757 0.292
! Energy above the lowest structure with this stoichiometry in eV/atom: 0.021
! Energy of formation from the pure elements in eV per atom: -1.639
! Space-group type: R-3m (166)
! E in eV per atom: -6.68

***

6.
! Li2CoH12S2O14 (PBE+U, optimized geometry); values from VASP
&SYSTEM
  ibrav = 0, nat = 62, ntyp = 5
/
ATOMIC_SPECIES
Li 6.94 Li.upf
Co 58.93 Co.upf
H 1.01 H.upf
S 32.06 S.upf
O 16.00 O.upf
CELL_PARAMETERS angstrom
5.733 0.000 0.000
0.000 12.126 0.000
-1.518 0.000 8.478
ATOMIC_POSITIONS crystal
Li 0.150 0.118 0.328
Li 0.150 0.382 0.828
Li 0.850 0.618 0.172
Li 0.850 0.882 0.672
Co 0.500 0.000 0.000
Co 0.500 0.500 0.500
H 0.150 0.651 0.463
H 0.150 0.849 0.963
H 0.151 0.568 0.612
H 0.151 0.932 0.112
H 0.169 0.087 0.782
H 0.169 0.413 0.282
H 0.411 0.128 0.741
H 0.411 0.372 0.241
H 0.424 0.612 0.224
H 0.424 0.888 0.724
H 0.458 0.195 0.144
H 0.458 0.305 0.644
H 0.542 0.695 0.356
H 0.542 0.805 0.856
H 0.576 0.112 0.276
H 0.576 0.388 0.776
H 0.589 0.628 0.759
H 0.589 0.872 0.259
H 0.831 0.587 0.718
H 0.831 0.913 0.218
H 0.849 0.068 0.888
H 0.849 0.432 0.388
H 0.850 0.151 0.037
H 0.850 0.349 0.537
S 0.215 0.639 0.923
S 0.215 0.861 0.423
S 0.785 0.139 0.577
S 0.785 0.361 0.077
O 0.067 0.738 0.871
O 0.067 0.762 0.371
O 0.136 0.548 0.807
O 0.136 0.952 0.307
O 0.178 0.605 0.083
O 0.178 0.895 0.583
O 0.192 0.575 0.505
O 0.192 0.925 0.005
O 0.330 0.112 0.831
O 0.330 0.388 0.331
O 0.432 0.122 0.192
O 0.432 0.378 0.692
O 0.472 0.663 0.925
O 0.472 0.837 0.425
O 0.528 0.163 0.575
O 0.528 0.337 0.075
O 0.568 0.622 0.308
O 0.568 0.878 0.808
O 0.670 0.612 0.669
O 0.670 0.888 0.169
O 0.808 0.075 0.995
O 0.808 0.425 0.495
O 0.822 0.105 0.417
O 0.822 0.395 0.917
O 0.864 0.048 0.693
O 0.864 0.452 0.193
O 0.933 0.238 0.629
O 0.933 0.262 0.129
! Energy of formation from the pure elements in eV per atom: -1.541
! Space-group type: P2_1/c (14)
! E in eV per atom: -5.35

***

7.
! Li9Mn7O16 (PBE+U, optimized geometry); values from VASP
&SYSTEM
  ibrav = 0, nat = 32, ntyp = 3
/
ATOMIC_SPECIES
Li 6.94 Li.upf
Mn 54.94 Mn.upf
O 16.00 O.upf
CELL_PARAMETERS angstrom
5.100 0.000 0.000
-0.195 6.073 0.000
-1.934 -2.380 9.648
ATOMIC_POSITIONS crystal
Li 0.000 0.000 0.000
Li 0.000 0.000 0.500
Li 0.000 0.500 0.000
Li 0.243 0.381 0.253
Li 0.252 0.870 0.250
Li 0.490 0.240 0.501
Li 0.510 0.760 0.499
Li 0.748 0.130 0.750
Li 0.757 0.619 0.747
Mn 0.000 0.500 0.500
Mn 0.250 0.362 0.744
Mn 0.252 0.869 0.745
Mn 0.497 0.250 0.000
Mn 0.503 0.750 0.000
Mn 0.748 0.131 0.255
Mn 0.750 0.638 0.256
O 0.092 0.219 0.381
O 0.100 0.674 0.374
O 0.140 0.199 0.876
O 0.153 0.685 0.871
O 0.354 0.538 0.619
O 0.369 0.062 0.636
O 0.391 0.080 0.126
O 0.398 0.581 0.128
O 0.602 0.419 0.872
O 0.609 0.920 0.874
O 0.631 0.938 0.364
O 0.646 0.462 0.381
O 0.847 0.315 0.129
O 0.860 0.801 0.124
O 0.900 0.326 0.626
O 0.908 0.781 0.619
! Energy above the lowest structure with this stoichiometry in eV/atom: 0.009
! Energy of formation from the pure elements in eV per atom: -2.135
! Space-group type: P-1 (2)
! E in eV per atom: -6.44

***

8.
! Ni2P5O15 (PBE+U, optimized geometry); values from VASP
&SYSTEM
  ibrav = 0, nat = 44, ntyp = 3
/
ATOMIC_SPECIES
Ni 58.69 Ni.upf
P 30.97 P.upf
O 16.00 O.upf
CELL_PARAMETERS angstrom
5.341 0.000 0.000
0.000 8.637 0.000
-4.468 0.000 12.765
ATOMIC_POSITIONS crystal
Ni 0.108 0.219 0.454
Ni 0.108 0.781 0.954
Ni 0.892 0.219 0.046
Ni 0.892 0.781 0.546
P 0.000 0.444 0.250
P 0.000 0.556 0.750
P 0.298 0.322 0.910
P 0.298 0.678 0.410
P 0.460 0.012 0.860
P 0.460 0.988 0.360
P 0.540 0.012 0.640
P 0.540 0.988 0.140
P 0.702 0.322 0.590
P 0.702 0.678 0.090
O 0.090 0.355 0.172
O 0.090 0.645 0.672
O 0.092 0.325 0.962
O 0.092 0.675 0.462
O 0.237 0.441 0.812
O 0.237 0.559 0.312
O 0.268 0.033 0.558
O 0.268 0.967 0.058
O 0.273 0.158 0.851
O 0.273 0.842 0.351
O 0.307 0.132 0.365
O 0.307 0.868 0.865
O 0.419 0.354 0.526
O 0.419 0.646 0.026
O 0.500 0.011 0.750
O 0.500 0.989 0.250
O 0.581 0.354 0.974
O 0.581 0.646 0.474
O 0.693 0.132 0.135
O 0.693 0.868 0.635
O 0.727 0.158 0.649
O 0.727 0.842 0.149
O 0.732 0.033 0.942
O 0.732 0.967 0.442
O 0.763 0.441 0.688
O 0.763 0.559 0.188
O 0.908 0.325 0.538
O 0.908 0.675 0.038
O 0.910 0.355 0.328
O 0.910 0.645 0.828
! Energy of formation from the pure elements in eV per atom: -2.269
! Space-group type: P2/c (13)
! E in eV per atom: -6.70